# K3TiCl6

An optimized crystal structure of K3TiCl6 (GGA-PBE, the Materials Project database).

The space group is P2_1/c (No. 14) and the conventional cell measures 13.183, 7.268 and 15.749 Å, with angles of 90.00, 108.30 and 90.00 degrees. The asymmetric unit holds K at (0.044, 0.015, 0.342), K at (0.328, 0.502, 0.397), K at (0.355, 0.610, 0.699), Ti at (0.000, 0.000, 0.000), Ti at (0.500, 0.000, 0.500), Cl at (0.075, 0.711, 0.013), Cl at (0.115, 0.099, 0.922), Cl at (0.164, 0.743, 0.251), Cl at (0.320, 0.566, 0.965), Cl at (0.465, 0.173, 0.356) and Cl at (0.469, 0.220, 0.079).

The formation energy is -2.068 eV/atom. The magnetization comes out at 4.0 Bohr magnetons per cell.